Entry 1:
Computed, not measured: a relaxed structure of Ni6Ge2P at the PBE-GGA level of DFT.

Output
Energy of formation in eV/atom: -0.40
SG: No. 189
Volume in Å³/cell: 105.32

Unit cell a=6.1667 b=6.1667 c=3.1980 alpha=90.00 beta=90.00 gamma=120.00
Closest atoms and distances in Å follow each position.
Element x y z (fractional)
Ni  0.0000  0.3887  0.0000  1 P 2.40, 4 Ge 2.49, 4 Ni 2.64
Ni  0.0000  0.7481  0.5000  2 P 2.23, 2 Ge 2.35
Ni  0.2519  0.2519  0.5000  2 P 2.23, 2 Ge 2.35
Ni  0.3887  0.0000  0.0000  1 P 2.40, 4 Ge 2.49, 4 Ni 2.64
Ni  0.6113  0.6113  0.0000  1 P 2.40, 4 Ge 2.49, 4 Ni 2.64
Ni  0.7481  0.0000  0.5000  2 P 2.23, 2 Ge 2.35
Ge  0.3333  0.6667  0.5000  9 Ni 2.35-2.49
Ge  0.6667  0.3333  0.5000  9 Ni 2.35-2.49
P  0.0000  0.0000  0.0000  9 Ni 2.23-2.40

=====

Entry 2:
Computed, not measured: a relaxed structure of PaNi2Ge at the PBE-GGA level of DFT.

Output
Energy of formation in eV/atom: -0.40
SG: No. 225
Volume in Å³/cell: 259.35

Unit cell a=6.3772 b=6.3772 c=6.3772 alpha=90.00 beta=90.00 gamma=90.00
Closest atoms and distances in Å follow each position.
Element x y z (fractional)
Pa  0.0000  0.0000  0.0000  8 Ni 2.76
Pa  0.0000  0.5000  0.5000  8 Ni 2.76
Pa  0.5000  0.0000  0.5000  8 Ni 2.76
Pa  0.5000  0.5000  0.0000  8 Ni 2.76
Ni  0.2500  0.2500  0.2500  4 Ge 2.76, 4 Pa 2.76
Ni  0.2500  0.2500  0.7500  4 Ge 2.76, 4 Pa 2.76
Ni  0.2500  0.7500  0.2500  4 Ge 2.76, 4 Pa 2.76
Ni  0.2500  0.7500  0.7500  4 Ge 2.76, 4 Pa 2.76
Ni  0.7500  0.2500  0.2500  4 Ge 2.76, 4 Pa 2.76
Ni  0.7500  0.2500  0.7500  4 Ge 2.76, 4 Pa 2.76
Ni  0.7500  0.7500  0.2500  4 Ge 2.76, 4 Pa 2.76
Ni  0.7500  0.7500  0.7500  4 Ge 2.76, 4 Pa 2.76
Ge  0.0000  0.0000  0.5000  8 Ni 2.76
Ge  0.0000  0.5000  0.0000  8 Ni 2.76
Ge  0.5000  0.0000  0.0000  8 Ni 2.76
Ge  0.5000  0.5000  0.5000  8 Ni 2.76

=====

Entry 3:
Computed, not measured: a relaxed structure of U2NiGe2Pd at the PBE-GGA level of DFT.

Output
Total magnetic moment in μB/f.u.: 4.1
Energy of formation in eV/atom: -0.40
SG: No. 26
Volume in Å³/cell: 223.20

Unit cell a=4.4171 b=7.5048 c=6.7330 alpha=90.00 beta=90.00 gamma=90.00
Closest atoms and distances in Å follow each position.
Element x y z (fractional)
U  0.0000  0.0333  0.0000  4 Ni 2.96-3.27, 6 Ge 2.97-3.05, 2 Pd 2.99-3.10
U  0.0000  0.9667  0.5000  4 Ni 2.96-3.27, 6 Ge 2.97-3.05, 2 Pd 2.99-3.10
U  0.5000  0.4565  0.0193  2 Ni 2.93-3.07, 4 Pd 3.00-3.17, 6 Ge 3.05-3.24
U  0.5000  0.5435  0.5193  2 Ni 2.93-3.07, 4 Pd 3.00-3.17, 6 Ge 3.05-3.24
Ni  0.5000  0.1749  0.3214  4 Ge 2.50-2.66
Ni  0.5000  0.8251  0.8214  4 Ge 2.50-2.66
Ge  0.0000  0.3284  0.2983  2 Ni 2.50, 2 Pd 2.60-2.77
Ge  0.0000  0.6716  0.7983  2 Ni 2.50, 2 Pd 2.60-2.77
Ge  0.5000  0.1490  0.7152  2 Ni 2.53-2.66, 2 Pd 2.61
Ge  0.5000  0.8510  0.2152  2 Ni 2.53-2.66, 2 Pd 2.61
Pd  0.0000  0.3344  0.7096  4 Ge 2.60-2.77
Pd  0.0000  0.6656  0.2096  4 Ge 2.60-2.77